--- A ---
The following is a PBE with a Hubbard U calculation of an optimized crystal structure of Li5Fe5O12, from the Materials Project.

Structure (extended XYZ):
```
22
Lattice="5.1209 0.0000 0.0000 -2.5108 4.4642 0.0000 -0.1027 -0.2540 10.3589" Properties=species:S:1:pos:R:3 pbc="T T T"
Li 0.0000 0.0000 0.0000
Li -0.9630 2.7584 7.7757
Li -0.4274 3.7374 2.5765
Li 2.8648 0.5274 7.7650
Li 3.4377 1.4742 2.5836
Fe -1.3045 3.6072 5.1802
Fe -0.0491 2.7111 10.3549
Fe 1.2916 2.0888 5.1736
Fe 2.5626 1.4976 0.0004
Fe 3.8052 0.6193 5.1770
O -1.5112 2.8379 1.1062
O -0.4964 2.2288 4.0895
O 0.4264 0.5678 6.1731
O -0.7084 4.1396 9.2508
O 0.9479 1.6205 0.9937
O 0.2939 3.5796 6.2635
O 2.1661 0.6397 4.0375
O 1.5631 2.5880 9.3608
O 3.2208 0.0751 1.1074
O 2.9838 2.0374 6.3162
O 2.1961 3.5909 4.1812
O 4.0181 1.3714 9.2442
```

Values from the calculation:
Its volume is 10.8 A^3/atom. As for the space group: P1, No. 1.

***

--- B ---
The following is a PBE with a Hubbard U calculation of an optimized crystal structure of Li5Fe5O12, from the Materials Project.

Structure (extended XYZ):
```
44
Lattice="5.0998 0.0000 0.0000 0.6487 9.0963 0.0000 0.7761 1.0494 9.3718" Properties=species:S:1:pos:R:3 pbc="T T T"
Li 0.0000 0.0000 0.0000
Li 1.0619 4.2361 9.2380
Li 0.7883 1.4909 2.2322
Li 2.5354 1.2395 6.9961
Li 2.8875 7.5183 0.0822
Li 3.6020 5.5986 9.2868
Li 3.5711 6.0804 2.2766
Li 3.5647 2.9778 2.2503
Li 5.4682 8.8284 7.0757
Li 5.3891 5.7086 7.0144
Fe 1.0788 4.5579 2.2908
Fe 2.0806 8.9736 4.6113
Fe 1.7733 2.8528 4.6613
Fe 2.8752 7.2212 7.0233
Fe 3.3279 2.6689 9.3148
Fe 4.0153 9.0436 2.2735
Fe 4.2313 4.4256 4.6922
Fe 4.7162 7.4047 4.6287
Fe 5.1529 2.7126 7.0578
Fe 6.1517 7.2286 9.3642
O 1.2452 7.5860 5.7281
O 0.9030 1.4373 5.8602
O 2.0392 8.5132 8.2691
O 1.9084 5.9695 8.1137
O 1.7120 2.5755 8.2789
O 1.8594 5.8779 1.2235
O 1.8733 3.0347 1.0735
O 1.8602 0.1893 1.0351
O 2.2814 1.2831 3.5648
O 2.6541 4.2952 3.4856
O 3.1603 7.7528 3.3945
O 3.6687 8.6330 5.9311
O 3.4527 3.0125 5.6773
O 3.7937 6.0022 5.8061
O 4.5357 7.1956 8.2068
O 4.4117 3.9494 8.2925
O 4.2206 1.4008 8.0318
O 4.1205 1.3467 1.2470
O 4.6195 7.5427 1.0359
O 4.6578 4.6899 1.0607
O 5.1209 5.7486 3.6054
O 5.5249 8.8923 3.5068
O 5.3063 3.1970 3.3724
O 5.8138 4.0752 5.8932
```

Values from the calculation:
Its volume is 9.9 A^3/atom. As for the space group: P1, No. 1.

***

Relative energy table, unit meV per atom: A 31; B 0